(1)
Density functional theory data (GGA-PBE) for an optimized crystal structure of Ga2CuAgTe2Se2.

Output
- Space-group type: No. 5
- Calculated density: 5.55 g/cm3
- Energy of formation from the pure elements: -0.469 eV per atom

abc: 7.2743 7.2743 6.0397
angles: 65.59 65.59 107.91
Closest atoms and distances in Å follow each position.
Fractional positions:
Ag1 0.2415 0.7585 0.5000  2 Se 2.69, 2 Te 2.75
Se1 0.8558 0.6176 0.0285  2 Ga 2.48-2.51, 1 Cu 2.51, 1 Ag 2.69
Se2 0.3824 0.1442 0.9715  2 Ga 2.48-2.51, 1 Cu 2.51, 1 Ag 2.69
Te1 0.1188 0.3557 0.5107  1 Cu 2.57, 2 Ga 2.65-2.66, 1 Ag 2.75
Te2 0.6443 0.8812 0.4893  1 Cu 2.57, 2 Ga 2.65-2.66, 1 Ag 2.75
Ga1 0.7411 0.2589 0.5000  2 Se 2.48, 2 Te 2.65
Ga2 0.5088 0.4912 0.0000  2 Se 2.51, 2 Te 2.66
Cu1 0.0074 0.9926 0.0000  2 Se 2.51, 2 Te 2.57

---

(2)
Density functional theory data (GGA-PBE) for an optimized crystal structure of Rb3Mn2Br7.

Output
- Space-group type: No. 139
- Calculated density: 3.78 g/cm3
- Energy of formation from the pure elements: -1.595 eV per atom

abc: 5.4084 5.4084 14.4222
angles: 100.81 100.81 90.00
Closest atoms and distances in Å follow each position.
Fractional positions:
Rb1 0.8192 0.8192 0.6384  9 Br 3.47-3.84
Rb2 0.0000 0.0000 0.0000  12 Br 3.80-3.82
Rb3 0.1808 0.1808 0.3616  9 Br 3.47-3.84
Br1 0.3056 0.3056 0.6111  1 Mn 2.63
Br2 0.6944 0.6944 0.3889  1 Mn 2.63
Br3 0.0959 0.5959 0.1918  2 Mn 2.71
Br4 0.4041 0.9041 0.8082  2 Mn 2.71
Br5 0.9041 0.4041 0.8082  2 Mn 2.71
Br6 0.5000 0.5000 0.0000  2 Mn 2.78
Br7 0.5959 0.0959 0.1918  2 Mn 2.71
Mn1 0.4001 0.4001 0.8002  6 Br 2.63-2.78
Mn2 0.5999 0.5999 0.1998  6 Br 2.63-2.78

---

(3)
Density functional theory data (GGA-PBE) for an optimized crystal structure of SrAl2Si2O10.

Output
- Space-group type: No. 11
- Calculated density: 3.36 g/cm3
- Energy of formation from the pure elements: -2.672 eV per atom

abc: 13.1875 5.3864 5.4410
angles: 66.29 90.00 90.00
Closest atoms and distances in Å follow each position.
Fractional positions:
O1 0.9277 0.1451 0.1450  1 Si 1.65
O2 0.0615 0.3480 0.3451  2 Al 1.90
O3 0.6105 0.6608 0.1008  1 Si 1.64
O4 0.7500 0.0540 0.0085  2 Si 1.67
O5 0.2500 0.2855 0.4574  3 O 2.55-2.74, 1 Sr 2.74
O6 0.5615 0.6520 0.6549  2 Al 1.90
O7 0.7500 0.7145 0.5426  3 O 2.55-2.74, 1 Sr 2.74
O8 0.3895 0.3392 0.8992  1 Si 1.64
O9 0.8895 0.6608 0.1008  1 Si 1.64
O10 0.0723 0.8549 0.8550  1 Si 1.65
O11 0.4277 0.8549 0.8550  1 Si 1.65
O12 0.2500 0.9460 0.9915  2 Si 1.67
O13 0.1033 0.8753 0.3460  1 Si 1.63
O14 0.1105 0.3392 0.8992  1 Si 1.64
O15 0.3967 0.8753 0.3460  1 Si 1.63
O16 0.5723 0.1451 0.1450  1 Si 1.65
O17 0.9385 0.6520 0.6549  2 Al 1.90
O18 0.4385 0.3480 0.3451  2 Al 1.90
O19 0.6033 0.1247 0.6540  1 Si 1.63
O20 0.8967 0.1247 0.6540  1 Si 1.63
Al1 0.0000 0.5000 0.0000  6 O 1.89-1.99
Al2 0.5000 0.0000 0.5000  6 O 1.86-2.01
Al3 0.5000 0.5000 0.0000  6 O 1.89-1.99
Al4 0.0000 0.0000 0.5000  6 O 1.86-2.01
Si1 0.1283 0.0098 0.0255  4 O 1.63-1.67
Si2 0.8717 0.9902 0.9745  4 O 1.63-1.67
Si3 0.6283 0.9902 0.9745  4 O 1.63-1.67
Si4 0.3717 0.0098 0.0255  4 O 1.63-1.67
Sr1 0.2500 0.6785 0.6569  6 O 2.51-2.74
Sr2 0.7500 0.3215 0.3431  6 O 2.51-2.74

---

Copy entry 3 word for word.
Density functional theory data (GGA-PBE) for an optimized crystal structure of SrAl2Si2O10.

Output
- Space-group type: No. 11
- Calculated density: 3.36 g/cm3
- Energy of formation from the pure elements: -2.672 eV per atom

abc: 13.1875 5.3864 5.4410
angles: 66.29 90.00 90.00
Closest atoms and distances in Å follow each position.
Fractional positions:
O1 0.9277 0.1451 0.1450  1 Si 1.65
O2 0.0615 0.3480 0.3451  2 Al 1.90
O3 0.6105 0.6608 0.1008  1 Si 1.64
O4 0.7500 0.0540 0.0085  2 Si 1.67
O5 0.2500 0.2855 0.4574  3 O 2.55-2.74, 1 Sr 2.74
O6 0.5615 0.6520 0.6549  2 Al 1.90
O7 0.7500 0.7145 0.5426  3 O 2.55-2.74, 1 Sr 2.74
O8 0.3895 0.3392 0.8992  1 Si 1.64
O9 0.8895 0.6608 0.1008  1 Si 1.64
O10 0.0723 0.8549 0.8550  1 Si 1.65
O11 0.4277 0.8549 0.8550  1 Si 1.65
O12 0.2500 0.9460 0.9915  2 Si 1.67
O13 0.1033 0.8753 0.3460  1 Si 1.63
O14 0.1105 0.3392 0.8992  1 Si 1.64
O15 0.3967 0.8753 0.3460  1 Si 1.63
O16 0.5723 0.1451 0.1450  1 Si 1.65
O17 0.9385 0.6520 0.6549  2 Al 1.90
O18 0.4385 0.3480 0.3451  2 Al 1.90
O19 0.6033 0.1247 0.6540  1 Si 1.63
O20 0.8967 0.1247 0.6540  1 Si 1.63
Al1 0.0000 0.5000 0.0000  6 O 1.89-1.99
Al2 0.5000 0.0000 0.5000  6 O 1.86-2.01
Al3 0.5000 0.5000 0.0000  6 O 1.89-1.99
Al4 0.0000 0.0000 0.5000  6 O 1.86-2.01
Si1 0.1283 0.0098 0.0255  4 O 1.63-1.67
Si2 0.8717 0.9902 0.9745  4 O 1.63-1.67
Si3 0.6283 0.9902 0.9745  4 O 1.63-1.67
Si4 0.3717 0.0098 0.0255  4 O 1.63-1.67
Sr1 0.2500 0.6785 0.6569  6 O 2.51-2.74
Sr2 0.7500 0.3215 0.3431  6 O 2.51-2.74